1.
A geometry-optimized AlCo4Cu3O12 structure. Source: Materials Project, functional GGA+U.

Computed properties:
crystal system	cubic
calculated total energy	-5.5908	eV per atom

Geometry as POSCAR:
```
AlCo4Cu3O12
1.0
-3.5602 3.5602 3.5602
3.5602 -3.5602 3.5602
3.5602 3.5602 -3.5602
Al Co Cu O
1 4 3 12
direct
0.0000 0.0000 0.0000
0.0000 0.0000 0.5000
0.0000 0.5000 0.0000
0.5000 0.0000 0.0000
0.5000 0.5000 0.5000
0.0000 0.5000 0.5000
0.5000 0.0000 0.5000
0.5000 0.5000 0.0000
0.2921 0.1273 0.8352
0.7079 0.8727 0.1648
0.7079 0.5431 0.8352
0.4569 0.1648 0.2921
0.1648 0.2921 0.4569
0.8352 0.2921 0.1273
0.8727 0.1648 0.7079
0.8352 0.7079 0.5431
0.2921 0.4569 0.1648
0.5431 0.8352 0.7079
0.1648 0.7079 0.8727
0.1273 0.8352 0.2921
```

---

2.
A geometry-optimized Na2WO12 structure. Source: Materials Project, functional GGA+U.

Computed properties:
crystal system	monoclinic
calculated total energy	-5.2615	eV per atom

Geometry as POSCAR:
```
Na2WO12
1.0
-0.0221 -4.0645 7.7819
5.7265 -6.8906 -3.5827
10.5740 6.5265 3.4389
Na W O
8 4 48
direct
0.8850 0.8758 0.0123
0.1150 0.1242 0.9877
0.3850 0.1242 0.4877
0.6150 0.8758 0.5123
0.1154 0.4168 0.7267
0.8846 0.5832 0.2733
0.6154 0.5832 0.7733
0.3846 0.4168 0.2267
0.2488 0.7669 0.6249
0.7512 0.2331 0.3751
0.7488 0.2331 0.8751
0.2512 0.7669 0.1249
0.0868 0.9123 0.6475
0.9132 0.0877 0.3525
0.5868 0.0877 0.8525
0.4132 0.9123 0.1475
0.1435 0.8538 0.7445
0.8565 0.1462 0.2555
0.6435 0.1462 0.7555
0.3565 0.8538 0.2445
0.1279 0.6660 0.5218
0.8721 0.3340 0.4782
0.6279 0.3340 0.9782
0.3721 0.6660 0.0218
0.2912 0.2946 0.8526
0.7088 0.7054 0.1474
0.7912 0.7054 0.6474
0.2088 0.2946 0.3526
0.3382 0.8819 0.5078
0.6618 0.1181 0.4922
0.8382 0.1181 0.9922
0.1618 0.8819 0.0078
0.1979 0.2377 0.6018
0.8021 0.7623 0.3982
0.6979 0.7623 0.8982
0.3021 0.2377 0.1018
0.3215 0.3059 0.6127
0.6785 0.6941 0.3873
0.8215 0.6941 0.8873
0.1785 0.3059 0.1127
0.0929 0.6144 0.6284
0.9071 0.3856 0.3716
0.5929 0.3856 0.8716
0.4071 0.6144 0.1284
0.4000 0.9254 0.6125
0.6000 0.0746 0.3875
0.9000 0.0746 0.8875
0.1000 0.9254 0.1125
0.3745 0.6576 0.7275
0.6255 0.3424 0.2725
0.8745 0.3424 0.7725
0.1255 0.6576 0.2275
0.7772 0.8304 0.6700
0.2228 0.1696 0.3300
0.2772 0.1696 0.8300
0.7228 0.8304 0.1700
0.4263 0.6349 0.6172
0.5737 0.3651 0.3828
0.9263 0.3651 0.8828
0.0737 0.6349 0.1172
```

---

3.
A geometry-optimized Fe5P4O16 structure. Source: Materials Project, functional GGA+U.

Computed properties:
crystal system	triclinic
calculated total energy	-7.1408	eV per atom

Geometry as POSCAR:
```
Fe5P4O16
1.0
-2.8448 -2.8403 -3.2650
3.5698 -5.7774 4.3192
-6.8797 2.9597 3.7856
Fe P O
5 4 16
direct
0.3540 0.5834 0.3334
0.6460 0.4166 0.6666
0.1036 0.2437 0.7706
0.0000 0.0000 0.0000
0.8964 0.7563 0.2294
0.3630 0.6942 0.9788
0.6370 0.3058 0.0212
0.8646 0.7962 0.5673
0.1354 0.2038 0.4327
0.3346 0.1828 0.5669
0.7393 0.6424 0.6221
0.7813 0.3365 0.8678
0.2397 0.8230 0.9230
0.9043 0.2459 0.5458
0.0957 0.7541 0.4542
0.9457 0.9786 0.7282
0.6729 0.4975 0.1729
0.2607 0.3576 0.3779
0.0543 0.0214 0.2718
0.6654 0.8172 0.4331
0.2187 0.6635 0.1322
0.7603 0.1770 0.0770
0.3271 0.5025 0.8271
0.6669 0.7690 0.0369
0.3331 0.2310 0.9631
```

---

4.
A geometry-optimized BaPrMgCo2O6 structure. Source: Materials Project, functional GGA+U.

Computed properties:
crystal system	triclinic
excess energy over the best structure of this formula in the dataset	0.000	eV per atom

Geometry as POSCAR:
```
BaPrMgCo2O6
1.0
0.1991 1.5671 3.3920
0.8153 -3.5886 1.6368
8.9339 3.7968 -1.0571
Ba Pr Mg Co O
1 1 1 2 6
direct
0.1506 0.8270 0.0551
0.0637 0.0358 0.4466
0.7384 0.2123 0.8188
0.2992 0.6582 0.6939
0.5981 0.4305 0.2554
0.7734 0.6967 0.7923
0.2645 0.1550 0.7105
0.0881 0.4430 0.2839
0.5936 0.9418 0.2811
0.5060 0.5315 0.4957
0.6578 0.3182 0.0334
```

---

5.
A geometry-optimized Na2Co5Mo4Cl4O16 structure. Source: Materials Project, functional GGA+U.

Computed properties:
crystal system	triclinic
calculated total energy	-6.0771	eV per atom

Geometry as POSCAR:
```
Na2Co5Mo4Cl4O16
1.0
-5.8980 6.7197 -0.0056
-7.6798 -6.7496 -3.6873
-0.8512 -6.7072 8.9992
Na Co Mo Cl O
4 10 8 8 32
direct
0.7433 0.5842 0.4885
0.2457 0.0836 0.4892
0.7545 0.9158 0.5114
0.2562 0.4165 0.5106
0.7477 0.2502 0.5001
0.1114 0.3311 0.8638
0.2523 0.8309 0.8642
0.8884 0.6692 0.1355
0.7477 0.1690 0.1361
0.2506 0.7502 0.5001
0.6114 0.8297 0.8659
0.7541 0.3293 0.8656
0.3889 0.1708 0.1345
0.2459 0.6706 0.1347
0.5967 0.4449 0.1943
0.0985 0.9448 0.1942
0.9018 0.0551 0.8058
0.4038 0.5554 0.8057
0.5759 0.8722 0.1522
0.0765 0.3719 0.1523
0.9233 0.6278 0.8476
0.4237 0.1279 0.8478
0.3835 0.6503 0.3750
0.8824 0.1513 0.3744
0.1180 0.8483 0.6261
0.6166 0.3481 0.6256
0.5086 0.8487 0.6250
0.0076 0.3489 0.6254
0.9921 0.6518 0.3738
0.4917 0.1515 0.3748
0.6867 0.4138 0.3708
0.1853 0.9136 0.3707
0.8138 0.0862 0.6294
0.3131 0.5864 0.6292
0.5652 0.2961 0.1307
0.0655 0.7962 0.1304
0.9343 0.2038 0.8693
0.4347 0.7042 0.8692
0.5636 0.0444 0.1273
0.0642 0.5441 0.1272
0.9363 0.4555 0.8726
0.4361 0.9558 0.8730
0.6609 0.8191 0.3215
0.1608 0.3188 0.3216
0.8389 0.6809 0.6782
0.3385 0.1810 0.6785
0.3763 0.8100 0.0826
0.8773 0.3097 0.0826
0.7935 0.6896 0.9172
0.2943 0.1905 0.9173
0.7057 0.8101 0.0829
0.2065 0.3101 0.0828
0.1224 0.6902 0.9171
0.6235 0.1898 0.9173
0.2366 0.0339 0.1444
0.7318 0.5357 0.1420
0.9114 0.0358 0.1423
0.4090 0.5343 0.1443
0.2691 0.4644 0.8580
0.7648 0.9654 0.8566
0.5917 0.4662 0.8553
0.0892 0.9646 0.8574
```

---

6.
A geometry-optimized CsHoMo2O8 structure. Source: Materials Project, functional GGA+U.

Computed properties:
crystal system	monoclinic
calculated total energy	-7.1259	eV per atom

Geometry as POSCAR:
```
CsHoMo2O8
1.0
-2.0669 -3.8341 -2.5934
-1.3276 -4.0564 7.0550
-8.8478 4.0515 1.0619
Cs Ho Mo O
2 2 4 16
direct
0.4673 0.7500 0.5000
0.5327 0.2500 0.5000
0.5012 0.7500 0.0000
0.4988 0.2500 0.0000
0.9760 0.4918 0.1907
0.0240 0.5082 0.8093
0.9760 0.0082 0.8093
0.0240 0.9918 0.1907
0.8900 0.9828 0.3560
0.1100 0.0172 0.6440
0.8900 0.5172 0.6440
0.1100 0.4828 0.3560
0.7590 0.3185 0.1790
0.2410 0.6815 0.8210
0.7590 0.1815 0.8210
0.2410 0.8185 0.1790
0.7459 0.9973 0.0658
0.2541 0.0027 0.9342
0.7459 0.5027 0.9342
0.2541 0.4973 0.0658
0.7588 0.6662 0.1802
0.2412 0.3338 0.8198
0.7588 0.8338 0.8198
0.2412 0.1662 0.1802
```

---

7.
A geometry-optimized Mn5FeO12 structure. Source: Materials Project, functional GGA+U.

Computed properties:
crystal system	monoclinic
excess energy over the best structure of this formula in the dataset	0.013	eV per atom

Geometry as POSCAR:
```
Mn5FeO12
1.0
4.1458 4.1428 0.0000
-4.1458 4.1428 0.0000
0.0000 3.9865 12.4494
Mn Fe O
10 2 24
direct
0.5000 0.0000 0.0000
0.1662 0.1658 0.1670
0.6663 0.1659 0.1671
0.8341 0.3337 0.3329
0.8342 0.8338 0.3330
0.0000 0.5000 0.5000
0.1659 0.6663 0.6671
0.1658 0.1662 0.6670
0.8338 0.8342 0.8330
0.3337 0.8341 0.8329
0.5000 0.5000 0.0000
0.5000 0.5000 0.5000
0.2709 0.2360 0.0116
0.7159 0.2382 0.0114
0.4202 0.3864 0.1599
0.4223 0.9537 0.1561
0.9108 0.3797 0.1775
0.9108 0.9433 0.1772
0.0567 0.0892 0.3228
0.6202 0.0892 0.3225
0.6136 0.5798 0.3401
0.0463 0.5777 0.3439
0.7640 0.7291 0.4884
0.7618 0.2841 0.4886
0.2382 0.7159 0.5114
0.2360 0.2709 0.5116
0.9537 0.4223 0.6561
0.3864 0.4202 0.6599
0.9433 0.9108 0.6772
0.3797 0.9108 0.6775
0.0892 0.0567 0.8228
0.0892 0.6202 0.8225
0.5798 0.6136 0.8401
0.5777 0.0463 0.8439
0.7291 0.7640 0.9884
0.2841 0.7618 0.9886
```

---

8.
A geometry-optimized MgFe8O14F2 structure. Source: Materials Project, functional GGA+U.

Computed properties:
crystal system	triclinic
excess energy over the best structure of this formula in the dataset	0.052	eV per atom

Geometry as POSCAR:
```
MgFe8O14F2
1.0
-2.9125 3.0080 2.4198
-1.1994 -3.6157 2.9537
9.0072 2.8558 7.1206
Mg Fe O F
1 8 14 2
direct
0.5035 0.9980 0.2482
0.0017 0.9928 0.0060
0.0023 0.9968 0.2529
0.0288 0.0242 0.5049
0.0001 0.9877 0.7478
0.5025 0.4963 0.1206
0.4943 0.4878 0.6351
0.4673 0.5228 0.8769
0.4967 0.4968 0.3777
0.2193 0.8376 0.1364
0.2028 0.8070 0.6257
0.1736 0.8161 0.8786
0.2311 0.8430 0.3684
0.2979 0.3199 0.0027
0.2922 0.3347 0.2460
0.3148 0.3255 0.5036
0.2979 0.3072 0.7600
0.6878 0.6822 0.0019
0.7122 0.6600 0.2477
0.6814 0.6866 0.7567
0.7829 0.1566 0.1350
0.7855 0.1579 0.3682
0.8100 0.1871 0.6282
0.7188 0.6854 0.5010
0.7946 0.1899 0.8810
```

---

Results for volume: 180.51, 1091.87, 316.65, 143.04, 989.36, 408.93, 427.64, 275.79 (in Å³/cell, following the order of the records).